(1)
# BaTiNbGaO6 | Materials Project | PBE-GGA | relaxed
data_BaTiNbGaO6
_cell_length_a 5.717
_cell_length_b 5.717
_cell_length_c 5.717
_cell_angle_alpha 60.00
_cell_angle_beta 60.00
_cell_angle_gamma 60.00
_symmetry_space_group_name_H-M 'P 1'
_symmetry_Int_Tables_number 1
_symmetry_space_group_name_Hall 'P 1'
loop_
_atom_site_label
_atom_site_type_symbol
_atom_site_fract_x
_atom_site_fract_y
_atom_site_fract_z
Ti1 Ti 0.500 0.500 0.500
O1 O 0.252 0.748 0.748
O2 O 0.748 0.748 0.252
O3 O 0.748 0.252 0.748
O4 O 0.748 0.252 0.252
O5 O 0.252 0.252 0.748
O6 O 0.252 0.748 0.252
Nb1 Nb 0.000 0.000 0.000
Ba1 Ba 0.250 0.250 0.250
Ga1 Ga 0.750 0.750 0.750
# Magnetization   0.00 μB per cell
# Formation energy   -2.90 eV/atom

---

(2)
# V3N4 | Materials Project | PBE-GGA | relaxed
data_V3N4
_cell_length_a 7.841
_cell_length_b 7.841
_cell_length_c 2.849
_cell_angle_alpha 90.00
_cell_angle_beta 90.00
_cell_angle_gamma 120.00
_symmetry_space_group_name_H-M 'P 1'
_symmetry_Int_Tables_number 1
_symmetry_space_group_name_Hall 'P 1'
loop_
_atom_site_label
_atom_site_type_symbol
_atom_site_fract_x
_atom_site_fract_y
_atom_site_fract_z
N1 N 0.333 0.667 0.250
N2 N 0.370 0.049 0.250
N3 N 0.951 0.321 0.250
N4 N 0.679 0.630 0.250
N5 N 0.667 0.333 0.750
N6 N 0.321 0.370 0.750
N7 N 0.630 0.951 0.750
N8 N 0.049 0.679 0.750
V1 V 0.330 0.862 0.750
V2 V 0.532 0.670 0.750
V3 V 0.670 0.138 0.250
V4 V 0.862 0.532 0.250
V5 V 0.468 0.330 0.250
V6 V 0.138 0.468 0.750
# Magnetization   1.35 μB per cell
# Formation energy   -0.97 eV/atom

---

(3)
# Ti5S8 | Materials Project | PBE-GGA | relaxed
data_Ti5S8
_cell_length_a 23.751
_cell_length_b 23.751
_cell_length_c 23.751
_cell_angle_alpha 8.28
_cell_angle_beta 8.28
_cell_angle_gamma 8.28
_symmetry_space_group_name_H-M 'P 1'
_symmetry_Int_Tables_number 1
_symmetry_space_group_name_Hall 'P 1'
loop_
_atom_site_label
_atom_site_type_symbol
_atom_site_fract_x
_atom_site_fract_y
_atom_site_fract_z
Ti1 Ti 0.544 0.544 0.544
Ti2 Ti 0.250 0.250 0.250
Ti3 Ti 0.000 0.000 0.000
Ti4 Ti 0.750 0.750 0.750
Ti5 Ti 0.498 0.498 0.498
S1 S 0.896 0.896 0.896
S2 S 0.397 0.397 0.397
S3 S 0.603 0.603 0.603
S4 S 0.188 0.188 0.188
S5 S 0.812 0.812 0.812
S6 S 0.103 0.103 0.103
S7 S 0.686 0.686 0.686
S8 S 0.314 0.314 0.314
# Magnetization   0.03 μB per cell
# Formation energy   -1.59 eV/atom
# ΔE to the lowest computed polymorph   10.8 kJ/mol of atoms

---

(4)
# Mg6ZnW | Materials Project | PBE-GGA | relaxed
data_Mg6ZnW
_cell_length_a 4.841
_cell_length_b 6.121
_cell_length_c 10.561
_cell_angle_alpha 90.00
_cell_angle_beta 90.00
_cell_angle_gamma 90.00
_symmetry_space_group_name_H-M 'P 1'
_symmetry_Int_Tables_number 1
_symmetry_space_group_name_Hall 'P 1'
loop_
_atom_site_label
_atom_site_type_symbol
_atom_site_fract_x
_atom_site_fract_y
_atom_site_fract_z
Mg1 Mg 0.000 0.736 0.091
Mg2 Mg 0.500 0.756 0.917
Mg3 Mg 0.000 0.264 0.091
Mg4 Mg 0.000 0.764 0.591
Mg5 Mg 0.500 0.000 0.166
Mg6 Mg 0.000 0.236 0.591
Mg7 Mg 0.500 0.244 0.917
Mg8 Mg 0.500 0.256 0.417
Mg9 Mg 0.000 0.000 0.334
Mg10 Mg 0.000 0.500 0.834
Mg11 Mg 0.500 0.500 0.666
Mg12 Mg 0.500 0.744 0.417
W1 W 0.500 0.000 0.670
W2 W 0.500 0.500 0.170
Zn1 Zn 0.000 0.000 0.815
Zn2 Zn 0.000 0.500 0.315
# Magnetization   0.00 μB per cell
# Formation energy   0.26 eV/atom
# ΔE to the lowest computed polymorph   0.0 kJ/mol of atoms

---

(5)
# SmAl3Br12 | Materials Project | PBE-GGA | relaxed
data_SmAl3Br12
_cell_length_a 10.704
_cell_length_b 10.704
_cell_length_c 18.951
_cell_angle_alpha 90.00
_cell_angle_beta 90.00
_cell_angle_gamma 120.00
_symmetry_space_group_name_H-M 'P 1'
_symmetry_Int_Tables_number 1
_symmetry_space_group_name_Hall 'P 1'
loop_
_atom_site_label
_atom_site_type_symbol
_atom_site_fract_x
_atom_site_fract_y
_atom_site_fract_z
Al1 Al 0.900 0.900 0.667
Al2 Al 0.328 0.697 0.554
Al3 Al 0.100 0.000 0.000
Al4 Al 0.303 0.631 0.887
Al5 Al 0.697 0.328 0.780
Al6 Al 0.672 0.369 0.113
Al7 Al 0.000 0.100 0.333
Al8 Al 0.369 0.672 0.220
Al9 Al 0.631 0.303 0.446
Br1 Br 0.227 0.724 0.289
Br2 Br 0.505 0.918 0.610
Br3 Br 0.503 0.276 0.711
Br4 Br 0.283 0.420 0.850
Br5 Br 0.580 0.864 0.183
Br6 Br 0.136 0.717 0.516
Br7 Br 0.587 0.082 0.390
Br8 Br 0.879 0.801 0.967
Br9 Br 0.793 0.768 0.564
Br10 Br 0.199 0.078 0.301
Br11 Br 0.276 0.503 0.622
Br12 Br 0.773 0.497 0.378
Br13 Br 0.801 0.879 0.366
Br14 Br 0.975 0.207 0.230
Br15 Br 0.522 0.235 0.210
Br16 Br 0.420 0.283 0.484
Br17 Br 0.025 0.232 0.436
Br18 Br 0.918 0.505 0.724
Br19 Br 0.287 0.765 0.790
Br20 Br 0.768 0.793 0.770
Br21 Br 0.717 0.136 0.817
Br22 Br 0.478 0.713 0.457
Br23 Br 0.864 0.580 0.150
Br24 Br 0.713 0.478 0.877
Br25 Br 0.724 0.227 0.044
Br26 Br 0.922 0.121 0.634
Br27 Br 0.207 0.975 0.103
Br28 Br 0.082 0.587 0.943
Br29 Br 0.765 0.287 0.543
Br30 Br 0.121 0.922 0.699
Br31 Br 0.495 0.413 0.057
Br32 Br 0.232 0.025 0.897
Br33 Br 0.235 0.522 0.123
Br34 Br 0.497 0.773 0.956
Br35 Br 0.413 0.495 0.276
Br36 Br 0.078 0.199 0.033
Sm1 Sm 0.272 0.272 0.167
Sm2 Sm 0.728 0.000 0.500
Sm3 Sm 0.000 0.728 0.833
# Formation energy   -1.73 eV/atom

---

(6)
# Cs2YAgI6 | Materials Project | PBE-GGA | relaxed
data_Cs2YAgI6
_cell_length_a 8.624
_cell_length_b 8.624
_cell_length_c 8.624
_cell_angle_alpha 60.00
_cell_angle_beta 60.00
_cell_angle_gamma 60.00
_symmetry_space_group_name_H-M 'P 1'
_symmetry_Int_Tables_number 1
_symmetry_space_group_name_Hall 'P 1'
loop_
_atom_site_label
_atom_site_type_symbol
_atom_site_fract_x
_atom_site_fract_y
_atom_site_fract_z
I1 I 0.251 0.749 0.251
I2 I 0.749 0.251 0.251
I3 I 0.251 0.749 0.749
I4 I 0.251 0.251 0.749
I5 I 0.749 0.749 0.251
I6 I 0.749 0.251 0.749
Cs1 Cs 0.250 0.250 0.250
Cs2 Cs 0.750 0.750 0.750
Y1 Y 0.500 0.500 0.500
Ag1 Ag 0.000 0.000 0.000
# Magnetization   0.00 μB per cell
# Formation energy   -1.46 eV/atom

---

(7)
# CaAg2O4 | Materials Project | PBE-GGA | relaxed
data_CaAg2O4
_cell_length_a 5.616
_cell_length_b 5.616
_cell_length_c 10.009
_cell_angle_alpha 90.00
_cell_angle_beta 90.00
_cell_angle_gamma 145.44
_symmetry_space_group_name_H-M 'P 1'
_symmetry_Int_Tables_number 1
_symmetry_space_group_name_Hall 'P 1'
loop_
_atom_site_label
_atom_site_type_symbol
_atom_site_fract_x
_atom_site_fract_y
_atom_site_fract_z
Ca1 Ca 0.609 0.391 0.750
Ca2 Ca 0.391 0.609 0.250
O1 O 0.780 0.220 0.387
O2 O 0.500 0.500 0.500
O3 O 0.780 0.220 0.113
O4 O 0.042 0.958 0.250
O5 O 0.500 0.500 0.000
O6 O 0.958 0.042 0.750
O7 O 0.220 0.780 0.613
O8 O 0.220 0.780 0.887
Ag1 Ag 0.868 0.132 0.570
Ag2 Ag 0.132 0.868 0.430
Ag3 Ag 0.868 0.132 0.930
Ag4 Ag 0.132 0.868 0.070
# Magnetization   0.00 μB per cell
# Formation energy   -1.20 eV/atom
# ΔE to the lowest computed polymorph   14.3 kJ/mol of atoms

---

(8)
# Sm2Te4O11 | Materials Project | PBE-GGA | relaxed
data_Sm2Te4O11
_cell_length_a 6.856
_cell_length_b 6.856
_cell_length_c 16.567
_cell_angle_alpha 76.44
_cell_angle_beta 76.44
_cell_angle_gamma 45.09
_symmetry_space_group_name_H-M 'P 1'
_symmetry_Int_Tables_number 1
_symmetry_space_group_name_Hall 'P 1'
loop_
_atom_site_label
_atom_site_type_symbol
_atom_site_fract_x
_atom_site_fract_y
_atom_site_fract_z
Sm1 Sm 0.632 0.131 0.538
Sm2 Sm 0.368 0.869 0.462
Sm3 Sm 0.131 0.632 0.038
Sm4 Sm 0.869 0.368 0.962
O1 O 0.458 0.684 0.046
O2 O 0.650 0.350 0.250
O3 O 0.403 0.302 0.668
O4 O 0.302 0.403 0.168
O5 O 0.597 0.698 0.332
O6 O 0.106 0.941 0.902
O7 O 0.350 0.650 0.750
O8 O 0.941 0.106 0.402
O9 O 0.689 0.819 0.127
O10 O 0.167 0.249 0.053
O11 O 0.059 0.894 0.598
O12 O 0.819 0.689 0.627
O13 O 0.542 0.316 0.954
O14 O 0.698 0.597 0.832
O15 O 0.833 0.751 0.947
O16 O 0.311 0.181 0.873
O17 O 0.181 0.311 0.373
O18 O 0.684 0.458 0.546
O19 O 0.894 0.059 0.098
O20 O 0.751 0.833 0.447
O21 O 0.316 0.542 0.454
O22 O 0.249 0.167 0.553
Te1 Te 0.101 0.660 0.698
Te2 Te 0.899 0.340 0.302
Te3 Te 0.913 0.350 0.625
Te4 Te 0.350 0.913 0.125
Te5 Te 0.650 0.087 0.875
Te6 Te 0.660 0.101 0.198
Te7 Te 0.087 0.650 0.375
Te8 Te 0.340 0.899 0.802
# Formation energy   -2.29 eV/atom

---

(9)
# LiCuS | Materials Project | PBE-GGA | relaxed
data_LiCuS
_cell_length_a 6.077
_cell_length_b 6.988
_cell_length_c 6.073
_cell_angle_alpha 64.37
_cell_angle_beta 89.77
_cell_angle_gamma 115.89
_symmetry_space_group_name_H-M 'P 1'
_symmetry_Int_Tables_number 1
_symmetry_space_group_name_Hall 'P 1'
loop_
_atom_site_label
_atom_site_type_symbol
_atom_site_fract_x
_atom_site_fract_y
_atom_site_fract_z
Li1 Li 0.482 0.966 0.771
Li2 Li 0.513 0.028 0.238
Li3 Li 0.233 0.466 0.512
Li4 Li 0.761 0.526 0.487
Cu1 Cu 0.999 0.997 0.997
Cu2 Cu 0.996 0.998 0.495
Cu3 Cu 0.499 0.503 0.003
Cu4 Cu 0.005 0.496 0.003
S1 S 0.146 0.746 0.152
S2 S 0.851 0.247 0.854
S3 S 0.396 0.246 0.400
S4 S 0.596 0.747 0.603
# Magnetization   0.00 μB per cell
# Formation energy   -0.90 eV/atom

---

(10)
# Sr14Nb19O57 | Materials Project | PBE-GGA | relaxed
data_Sr14Nb19O57
_cell_length_a 4.041
_cell_length_b 4.041
_cell_length_c 77.534
_cell_angle_alpha 90.00
_cell_angle_beta 90.00
_cell_angle_gamma 90.00
_symmetry_space_group_name_H-M 'P 1'
_symmetry_Int_Tables_number 1
_symmetry_space_group_name_Hall 'P 1'
loop_
_atom_site_label
_atom_site_type_symbol
_atom_site_fract_x
_atom_site_fract_y
_atom_site_fract_z
Sr1 Sr 0.000 0.000 0.315
Sr2 Sr 0.000 0.000 0.579
Sr3 Sr 0.000 0.000 0.474
Sr4 Sr 0.000 0.000 0.260
Sr5 Sr 0.000 0.000 0.053
Sr6 Sr 0.000 0.000 0.368
Sr7 Sr 0.000 0.000 0.526
Sr8 Sr 0.000 0.000 0.421
Sr9 Sr 0.000 0.000 0.685
Sr10 Sr 0.000 0.000 0.740
Sr11 Sr 0.000 0.000 0.947
Sr12 Sr 0.000 0.000 0.843
Sr13 Sr 0.000 0.000 0.632
Sr14 Sr 0.000 0.000 0.157
O1 O 0.000 0.500 0.761
O2 O 0.500 0.500 0.895
O3 O 0.500 0.000 0.239
O4 O 0.000 0.500 0.290
O5 O 0.000 0.500 0.395
O6 O 0.500 0.000 0.658
O7 O 0.500 0.000 0.710
O8 O 0.000 0.500 0.605
O9 O 0.500 0.500 0.211
O10 O 0.500 0.000 0.553
O11 O 0.500 0.500 0.632
O12 O 0.000 0.500 0.077
O13 O 0.000 0.500 0.866
O14 O 0.000 0.500 0.342
O15 O 0.500 0.000 0.077
O16 O 0.500 0.000 0.395
O17 O 0.500 0.500 0.842
O18 O 0.500 0.500 0.000
O19 O 0.500 0.000 0.605
O20 O 0.500 0.500 0.316
O21 O 0.500 0.500 0.421
O22 O 0.000 0.500 0.710
O23 O 0.500 0.500 0.053
O24 O 0.000 0.500 0.239
O25 O 0.500 0.000 0.866
O26 O 0.000 0.500 0.817
O27 O 0.500 0.500 0.264
O28 O 0.500 0.500 0.105
O29 O 0.500 0.000 0.342
O30 O 0.500 0.000 0.761
O31 O 0.500 0.000 0.500
O32 O 0.500 0.000 0.290
O33 O 0.500 0.000 0.447
O34 O 0.500 0.500 0.368
O35 O 0.500 0.000 0.972
O36 O 0.500 0.500 0.579
O37 O 0.500 0.500 0.684
O38 O 0.500 0.000 0.923
O39 O 0.500 0.500 0.158
O40 O 0.500 0.000 0.817
O41 O 0.000 0.500 0.972
O42 O 0.000 0.500 0.028
O43 O 0.500 0.000 0.134
O44 O 0.500 0.000 0.183
O45 O 0.500 0.500 0.736
O46 O 0.500 0.000 0.028
O47 O 0.000 0.500 0.447
O48 O 0.500 0.500 0.526
O49 O 0.500 0.500 0.789
O50 O 0.000 0.500 0.658
O51 O 0.000 0.500 0.553
O52 O 0.000 0.500 0.183
O53 O 0.000 0.500 0.134
O54 O 0.000 0.500 0.923
O55 O 0.000 0.500 0.500
O56 O 0.500 0.500 0.947
O57 O 0.500 0.500 0.474
Nb1 Nb 0.500 0.500 0.289
Nb2 Nb 0.500 0.500 0.658
Nb3 Nb 0.500 0.500 0.500
Nb4 Nb 0.500 0.500 0.395
Nb5 Nb 0.500 0.500 0.870
Nb6 Nb 0.500 0.500 0.816
Nb7 Nb 0.500 0.500 0.130
Nb8 Nb 0.500 0.500 0.553
Nb9 Nb 0.500 0.500 0.184
Nb10 Nb 0.500 0.500 0.079
Nb11 Nb 0.500 0.500 0.711
Nb12 Nb 0.500 0.500 0.342
Nb13 Nb 0.500 0.500 0.975
Nb14 Nb 0.500 0.500 0.921
Nb15 Nb 0.500 0.500 0.605
Nb16 Nb 0.500 0.500 0.447
Nb17 Nb 0.500 0.500 0.766
Nb18 Nb 0.500 0.500 0.234
Nb19 Nb 0.500 0.500 0.025
# Magnetization   0.05 μB per cell
# Formation energy   -3.19 eV/atom

---

(11)
# La4CeZn5 | Materials Project | PBE-GGA | relaxed
data_La4CeZn5
_cell_length_a 3.713
_cell_length_b 3.713
_cell_length_c 18.576
_cell_angle_alpha 90.00
_cell_angle_beta 90.00
_cell_angle_gamma 90.00
_symmetry_space_group_name_H-M 'P 1'
_symmetry_Int_Tables_number 1
_symmetry_space_group_name_Hall 'P 1'
loop_
_atom_site_label
_atom_site_type_symbol
_atom_site_fract_x
_atom_site_fract_y
_atom_site_fract_z
Zn1 Zn 0.500 0.500 0.500
Zn2 Zn 0.500 0.500 0.098
Zn3 Zn 0.500 0.500 0.700
Zn4 Zn 0.500 0.500 0.300
Zn5 Zn 0.500 0.500 0.902
La1 La 0.000 0.000 0.400
La2 La 0.000 0.000 0.801
La3 La 0.000 0.000 0.199
La4 La 0.000 0.000 0.600
Ce1 Ce 0.000 0.000 0.000
# Magnetization   1.11 μB per cell
# Formation energy   -0.29 eV/atom

---

(12)
# Ca3Si4Sb2O14 | Materials Project | PBE-GGA | relaxed
data_Ca3Si4Sb2O14
_cell_length_a 9.923
_cell_length_b 9.923
_cell_length_c 10.732
_cell_angle_alpha 58.02
_cell_angle_beta 58.02
_cell_angle_gamma 47.82
_symmetry_space_group_name_H-M 'P 1'
_symmetry_Int_Tables_number 1
_symmetry_space_group_name_Hall 'P 1'
loop_
_atom_site_label
_atom_site_type_symbol
_atom_site_fract_x
_atom_site_fract_y
_atom_site_fract_z
Si1 Si 0.508 0.750 0.364
Si2 Si 0.466 0.913 0.834
Si3 Si 0.492 0.250 0.636
Si4 Si 0.087 0.534 0.666
Si5 Si 0.534 0.087 0.166
Si6 Si 0.913 0.466 0.334
Si7 Si 0.250 0.492 0.136
Si8 Si 0.750 0.508 0.864
Sb1 Sb 0.781 0.219 0.750
Sb2 Sb 0.000 0.000 0.000
Sb3 Sb 0.000 0.000 0.500
Sb4 Sb 0.219 0.781 0.250
O1 O 0.922 0.473 0.177
O2 O 0.849 0.330 0.002
O3 O 0.649 0.710 0.902
O4 O 0.670 0.151 0.498
O5 O 0.040 0.110 0.754
O6 O 0.272 0.950 0.979
O7 O 0.604 0.515 0.832
O8 O 0.351 0.290 0.098
O9 O 0.290 0.351 0.598
O10 O 0.050 0.728 0.521
O11 O 0.473 0.922 0.677
O12 O 0.078 0.527 0.823
O13 O 0.151 0.670 0.998
O14 O 0.110 0.040 0.254
O15 O 0.084 0.483 0.306
O16 O 0.483 0.084 0.806
O17 O 0.728 0.050 0.021
O18 O 0.330 0.849 0.502
O19 O 0.960 0.890 0.246
O20 O 0.396 0.485 0.168
O21 O 0.710 0.649 0.402
O22 O 0.485 0.396 0.668
O23 O 0.890 0.960 0.746
O24 O 0.527 0.078 0.323
O25 O 0.950 0.272 0.479
O26 O 0.515 0.604 0.332
O27 O 0.916 0.517 0.694
O28 O 0.517 0.916 0.194
Ca1 Ca 0.842 0.749 0.967
Ca2 Ca 0.749 0.842 0.467
Ca3 Ca 0.158 0.251 0.033
Ca4 Ca 0.641 0.359 0.250
Ca5 Ca 0.251 0.158 0.533
Ca6 Ca 0.359 0.641 0.750
# Magnetization   0.00 μB per cell
# Formation energy   -2.92 eV/atom